1.
{"formula": "RbP4N7", "functional": "r2SCAN", "state": "relaxed", "lattice": [[9.897, 0.000, 0.000], [0.000, 12.327, 0.000], [0.000, 0.000, 4.685]], "species": ["Rb", "Rb", "Rb", "Rb", "P", "P", "P", "P", "P", "P", "P", "P", "P", "P", "P", "P", "P", "P", "P", "P", "N", "N", "N", "N", "N", "N", "N", "N", "N", "N", "N", "N", "N", "N", "N", "N", "N", "N", "N", "N", "N", "N", "N", "N", "N", "N", "N", "N"], "fractional_positions": [[0.147, 0.250, 0.228], [0.353, 0.750, 0.728], [0.647, 0.250, 0.272], [0.853, 0.750, 0.772], [0.089, 0.630, 0.214], [0.089, 0.870, 0.214], [0.157, 0.000, 0.721], [0.157, 0.500, 0.721], [0.343, 0.000, 0.221], [0.343, 0.500, 0.221], [0.411, 0.130, 0.714], [0.411, 0.370, 0.714], [0.589, 0.630, 0.286], [0.589, 0.870, 0.286], [0.657, 0.000, 0.779], [0.657, 0.500, 0.779], [0.843, 0.000, 0.279], [0.843, 0.500, 0.279], [0.911, 0.130, 0.786], [0.911, 0.370, 0.786], [0.060, 0.100, 0.682], [0.060, 0.400, 0.682], [0.115, 0.606, 0.884], [0.115, 0.894, 0.884], [0.128, 0.750, 0.297], [0.200, 0.544, 0.386], [0.200, 0.956, 0.386], [0.300, 0.044, 0.886], [0.300, 0.456, 0.886], [0.372, 0.250, 0.797], [0.385, 0.106, 0.384], [0.385, 0.394, 0.384], [0.440, 0.600, 0.182], [0.440, 0.900, 0.182], [0.560, 0.100, 0.818], [0.560, 0.400, 0.818], [0.615, 0.606, 0.616], [0.615, 0.894, 0.616], [0.628, 0.750, 0.203], [0.700, 0.544, 0.114], [0.700, 0.956, 0.114], [0.800, 0.044, 0.614], [0.800, 0.456, 0.614], [0.872, 0.250, 0.703], [0.885, 0.106, 0.116], [0.885, 0.394, 0.116], [0.940, 0.600, 0.318], [0.940, 0.900, 0.318]]}

2.
{"formula": "SrP2N4", "functional": "r2SCAN", "state": "relaxed", "lattice": [[17.113, 0.000, 0.000], [-8.557, 14.821, 0.000], [0.000, 0.000, 8.119]], "species": ["Sr", "Sr", "Sr", "Sr", "Sr", "Sr", "Sr", "Sr", "Sr", "Sr", "Sr", "Sr", "Sr", "Sr", "Sr", "Sr", "Sr", "Sr", "Sr", "Sr", "Sr", "Sr", "Sr", "Sr", "P", "P", "P", "P", "P", "P", "P", "P", "P", "P", "P", "P", "P", "P", "P", "P", "P", "P", "P", "P", "P", "P", "P", "P", "P", "P", "P", "P", "P", "P", "P", "P", "P", "P", "P", "P", "P", "P", "P", "P", "P", "P", "P", "P", "P", "P", "P", "P", "N", "N", "N", "N", "N", "N", "N", "N", "N", "N", "N", "N", "N", "N", "N", "N", "N", "N", "N", "N", "N", "N", "N", "N", "N", "N", "N", "N", "N", "N", "N", "N", "N", "N", "N", "N", "N", "N", "N", "N", "N", "N", "N", "N", "N", "N", "N", "N", "N", "N", "N", "N", "N", "N", "N", "N", "N", "N", "N", "N", "N", "N", "N", "N", "N", "N", "N", "N", "N", "N", "N", "N", "N", "N", "N", "N", "N", "N", "N", "N", "N", "N", "N", "N", "N", "N", "N", "N", "N", "N", "N", "N", "N", "N", "N", "N"], "fractional_positions": [[0.000, 0.000, 0.000], [0.000, 0.000, 0.500], [0.004, 0.481, 0.477], [0.139, 0.332, 0.467], [0.152, 0.820, 0.970], [0.180, 0.332, 0.970], [0.193, 0.861, 0.467], [0.332, 0.152, 0.470], [0.332, 0.193, 0.967], [0.333, 0.667, 0.446], [0.333, 0.667, 0.946], [0.477, 0.996, 0.477], [0.481, 0.477, 0.977], [0.519, 0.523, 0.477], [0.523, 0.004, 0.977], [0.667, 0.333, 0.446], [0.667, 0.333, 0.946], [0.668, 0.807, 0.467], [0.668, 0.848, 0.970], [0.807, 0.139, 0.967], [0.820, 0.668, 0.470], [0.848, 0.180, 0.470], [0.861, 0.668, 0.967], [0.996, 0.519, 0.977], [0.000, 0.330, 0.777], [0.000, 0.336, 0.162], [0.000, 0.664, 0.662], [0.000, 0.670, 0.277], [0.008, 0.839, 0.664], [0.008, 0.842, 0.283], [0.158, 0.166, 0.283], [0.161, 0.170, 0.664], [0.165, 0.509, 0.162], [0.166, 0.008, 0.783], [0.166, 0.505, 0.781], [0.170, 0.008, 0.164], [0.173, 0.673, 0.662], [0.173, 0.677, 0.282], [0.323, 0.496, 0.282], [0.327, 0.500, 0.662], [0.330, 0.000, 0.777], [0.330, 0.330, 0.277], [0.336, 0.000, 0.162], [0.336, 0.336, 0.662], [0.339, 0.834, 0.781], [0.343, 0.835, 0.162], [0.491, 0.657, 0.162], [0.495, 0.661, 0.781], [0.496, 0.173, 0.782], [0.500, 0.173, 0.162], [0.500, 0.827, 0.662], [0.504, 0.827, 0.282], [0.505, 0.339, 0.281], [0.509, 0.343, 0.662], [0.657, 0.165, 0.662], [0.661, 0.166, 0.281], [0.664, 0.000, 0.662], [0.664, 0.664, 0.162], [0.670, 0.000, 0.277], [0.670, 0.670, 0.777], [0.673, 0.500, 0.162], [0.677, 0.504, 0.782], [0.827, 0.323, 0.782], [0.827, 0.327, 0.162], [0.830, 0.992, 0.664], [0.834, 0.495, 0.281], [0.834, 0.992, 0.283], [0.835, 0.491, 0.662], [0.839, 0.830, 0.164], [0.842, 0.834, 0.783], [0.992, 0.158, 0.783], [0.992, 0.161, 0.164], [0.001, 0.333, 0.969], [0.031, 0.763, 0.743], [0.035, 0.262, 0.717], [0.042, 0.859, 0.473], [0.060, 0.932, 0.765], [0.068, 0.128, 0.765], [0.068, 0.629, 0.724], [0.071, 0.429, 0.699], [0.098, 0.901, 0.172], [0.099, 0.197, 0.172], [0.100, 0.702, 0.202], [0.102, 0.405, 0.228], [0.128, 0.060, 0.265], [0.135, 0.569, 0.271], [0.141, 0.183, 0.473], [0.150, 0.526, 0.970], [0.183, 0.042, 0.973], [0.192, 0.709, 0.473], [0.197, 0.098, 0.672], [0.204, 0.598, 0.677], [0.227, 0.965, 0.717], [0.233, 0.760, 0.779], [0.237, 0.267, 0.743], [0.240, 0.473, 0.779], [0.262, 0.227, 0.217], [0.267, 0.031, 0.243], [0.268, 0.729, 0.183], [0.271, 0.539, 0.183], [0.291, 0.483, 0.473], [0.298, 0.398, 0.202], [0.304, 0.898, 0.228], [0.332, 0.999, 0.969], [0.333, 0.332, 0.469], [0.358, 0.929, 0.699], [0.371, 0.439, 0.724], [0.375, 0.850, 0.970], [0.393, 0.796, 0.677], [0.398, 0.100, 0.702], [0.402, 0.607, 0.677], [0.405, 0.304, 0.728], [0.429, 0.358, 0.199], [0.431, 0.566, 0.271], [0.434, 0.865, 0.271], [0.439, 0.068, 0.224], [0.461, 0.732, 0.183], [0.473, 0.233, 0.279], [0.474, 0.625, 0.970], [0.483, 0.192, 0.973], [0.517, 0.808, 0.473], [0.526, 0.375, 0.470], [0.527, 0.767, 0.779], [0.539, 0.268, 0.683], [0.561, 0.932, 0.724], [0.566, 0.135, 0.771], [0.569, 0.434, 0.771], [0.571, 0.642, 0.699], [0.595, 0.696, 0.228], [0.598, 0.393, 0.177], [0.602, 0.900, 0.202], [0.607, 0.204, 0.177], [0.625, 0.150, 0.470], [0.629, 0.561, 0.224], [0.642, 0.071, 0.199], [0.667, 0.668, 0.969], [0.668, 0.001, 0.469], [0.696, 0.102, 0.728], [0.702, 0.602, 0.702], [0.709, 0.517, 0.973], [0.729, 0.461, 0.683], [0.732, 0.271, 0.683], [0.733, 0.969, 0.743], [0.738, 0.773, 0.717], [0.760, 0.527, 0.279], [0.763, 0.733, 0.243], [0.767, 0.240, 0.279], [0.773, 0.035, 0.217], [0.796, 0.402, 0.177], [0.803, 0.902, 0.172], [0.808, 0.291, 0.973], [0.817, 0.958, 0.473], [0.850, 0.474, 0.470], [0.859, 0.817, 0.973], [0.865, 0.431, 0.771], [0.872, 0.940, 0.765], [0.898, 0.595, 0.728], [0.900, 0.298, 0.702], [0.901, 0.803, 0.672], [0.902, 0.099, 0.672], [0.929, 0.571, 0.199], [0.932, 0.371, 0.224], [0.932, 0.872, 0.265], [0.940, 0.068, 0.265], [0.958, 0.141, 0.973], [0.965, 0.738, 0.217], [0.969, 0.237, 0.243], [0.999, 0.667, 0.469]]}

3.
{"formula": "U2PN2", "functional": "r2SCAN", "state": "relaxed", "lattice": [[3.815, 0.000, 0.000], [-1.908, 3.304, 0.000], [0.000, 0.000, 6.540]], "species": ["U", "U", "P", "N", "N"], "fractional_positions": [[0.333, 0.667, 0.279], [0.667, 0.333, 0.721], [0.000, 0.000, 0.000], [0.333, 0.667, 0.631], [0.667, 0.333, 0.369]]}

4.
{"formula": "SrPb2N2", "functional": "r2SCAN", "state": "relaxed", "lattice": [[3.582, 0.000, 0.000], [-1.791, 3.102, 0.000], [0.000, 0.000, 9.485]], "species": ["Sr", "Pb", "Pb", "N", "N"], "fractional_positions": [[0.000, 0.000, 0.000], [0.333, 0.667, 0.306], [0.667, 0.333, 0.694], [0.333, 0.667, 0.828], [0.667, 0.333, 0.172]]}

5.
{"formula": "Pr4S3N2", "functional": "r2SCAN", "state": "relaxed", "lattice": [[9.029, -4.993, 0.000], [9.029, 4.993, 0.000], [-8.981, 0.000, 9.139]], "species": ["Pr", "Pr", "Pr", "Pr", "Pr", "Pr", "Pr", "Pr", "Pr", "Pr", "Pr", "Pr", "Pr", "Pr", "Pr", "Pr", "S", "S", "S", "S", "S", "S", "S", "S", "S", "S", "S", "S", "N", "N", "N", "N", "N", "N", "N", "N"], "fractional_positions": [[0.078, 0.688, 0.255], [0.113, 0.703, 0.815], [0.136, 0.217, 0.563], [0.217, 0.136, 0.063], [0.297, 0.887, 0.685], [0.312, 0.418, 0.476], [0.312, 0.922, 0.245], [0.418, 0.312, 0.976], [0.582, 0.688, 0.024], [0.688, 0.078, 0.755], [0.688, 0.582, 0.524], [0.703, 0.113, 0.315], [0.783, 0.864, 0.937], [0.864, 0.783, 0.437], [0.887, 0.297, 0.185], [0.922, 0.312, 0.745], [0.000, 0.500, 0.500], [0.021, 0.979, 0.750], [0.110, 0.612, 0.992], [0.388, 0.890, 0.508], [0.397, 0.403, 0.775], [0.403, 0.397, 0.275], [0.500, 0.000, 0.000], [0.597, 0.603, 0.725], [0.603, 0.597, 0.225], [0.612, 0.110, 0.492], [0.890, 0.388, 0.008], [0.979, 0.021, 0.250], [0.145, 0.686, 0.463], [0.185, 0.198, 0.256], [0.198, 0.185, 0.756], [0.314, 0.855, 0.037], [0.686, 0.145, 0.963], [0.802, 0.815, 0.244], [0.815, 0.802, 0.744], [0.855, 0.314, 0.537]]}

6.
{"formula": "Pr3S3N", "functional": "r2SCAN", "state": "relaxed", "lattice": [[12.311, 0.000, 0.000], [0.000, 4.073, 0.000], [0.000, 0.000, 13.230]], "species": ["Pr", "Pr", "Pr", "Pr", "Pr", "Pr", "Pr", "Pr", "Pr", "Pr", "Pr", "Pr", "S", "S", "S", "S", "S", "S", "S", "S", "S", "S", "S", "S", "N", "N", "N", "N"], "fractional_positions": [[0.040, 0.250, 0.149], [0.084, 0.250, 0.627], [0.223, 0.250, 0.867], [0.277, 0.750, 0.367], [0.416, 0.750, 0.127], [0.460, 0.750, 0.649], [0.540, 0.250, 0.351], [0.584, 0.250, 0.873], [0.723, 0.250, 0.633], [0.777, 0.750, 0.133], [0.916, 0.750, 0.373], [0.960, 0.750, 0.851], [0.081, 0.250, 0.393], [0.140, 0.750, 0.997], [0.231, 0.750, 0.698], [0.269, 0.250, 0.198], [0.360, 0.250, 0.497], [0.419, 0.750, 0.893], [0.581, 0.250, 0.107], [0.640, 0.750, 0.503], [0.731, 0.750, 0.802], [0.769, 0.250, 0.302], [0.860, 0.250, 0.003], [0.919, 0.750, 0.607], [0.047, 0.250, 0.798], [0.453, 0.750, 0.298], [0.547, 0.250, 0.702], [0.953, 0.750, 0.202]]}

7.
{"formula": "PrSi3N5", "functional": "r2SCAN", "state": "relaxed", "lattice": [[4.790, 0.000, 0.000], [0.000, 7.836, 0.000], [0.000, 0.000, 11.240]], "species": ["Pr", "Pr", "Pr", "Pr", "Si", "Si", "Si", "Si", "Si", "Si", "Si", "Si", "Si", "Si", "Si", "Si", "N", "N", "N", "N", "N", "N", "N", "N", "N", "N", "N", "N", "N", "N", "N", "N", "N", "N", "N", "N"], "fractional_positions": [[0.006, 0.061, 0.170], [0.494, 0.939, 0.670], [0.506, 0.439, 0.830], [0.994, 0.561, 0.330], [0.015, 0.162, 0.839], [0.016, 0.293, 0.583], [0.024, 0.467, 0.041], [0.476, 0.533, 0.541], [0.484, 0.707, 0.083], [0.485, 0.838, 0.339], [0.515, 0.338, 0.161], [0.516, 0.207, 0.417], [0.524, 0.033, 0.959], [0.976, 0.967, 0.459], [0.984, 0.793, 0.917], [0.985, 0.662, 0.661], [0.044, 0.342, 0.921], [0.167, 0.207, 0.705], [0.172, 0.389, 0.168], [0.186, 0.981, 0.906], [0.205, 0.650, 0.989], [0.295, 0.350, 0.489], [0.314, 0.019, 0.406], [0.328, 0.611, 0.668], [0.333, 0.793, 0.205], [0.456, 0.658, 0.421], [0.544, 0.158, 0.079], [0.667, 0.293, 0.295], [0.672, 0.111, 0.832], [0.686, 0.519, 0.094], [0.705, 0.850, 0.011], [0.795, 0.150, 0.511], [0.814, 0.481, 0.594], [0.828, 0.889, 0.332], [0.833, 0.707, 0.795], [0.956, 0.842, 0.579]]}

8.
{"formula": "Pr3Ta2N6", "functional": "r2SCAN", "state": "relaxed", "lattice": [[-2.028, 2.028, 9.972], [2.028, -2.028, 9.972], [2.028, 2.028, -9.972]], "species": ["Pr", "Pr", "Pr", "Ta", "Ta", "N", "N", "N", "N", "N", "N"], "fractional_positions": [[0.000, 0.000, 0.000], [0.180, 0.180, 0.000], [0.820, 0.820, 0.000], [0.399, 0.399, 0.000], [0.601, 0.601, 0.000], [0.086, 0.586, 0.500], [0.301, 0.301, 0.000], [0.414, 0.914, 0.500], [0.586, 0.086, 0.500], [0.699, 0.699, 0.000], [0.914, 0.414, 0.500]]}

9.
{"formula": "Pr4Te3N2", "functional": "r2SCAN", "state": "relaxed", "lattice": [[7.465, 0.000, 0.000], [0.000, 11.870, 0.000], [0.000, 0.000, 11.505]], "species": ["Pr", "Pr", "Pr", "Pr", "Pr", "Pr", "Pr", "Pr", "Pr", "Pr", "Pr", "Pr", "Pr", "Pr", "Pr", "Pr", "Te", "Te", "Te", "Te", "Te", "Te", "Te", "Te", "Te", "Te", "Te", "Te", "N", "N", "N", "N", "N", "N", "N", "N"], "fractional_positions": [[0.091, 0.250, 0.159], [0.147, 0.049, 0.890], [0.147, 0.451, 0.890], [0.229, 0.250, 0.532], [0.271, 0.750, 0.032], [0.353, 0.549, 0.390], [0.353, 0.951, 0.390], [0.409, 0.750, 0.659], [0.591, 0.250, 0.341], [0.647, 0.049, 0.610], [0.647, 0.451, 0.610], [0.729, 0.250, 0.968], [0.771, 0.750, 0.468], [0.853, 0.549, 0.110], [0.853, 0.951, 0.110], [0.909, 0.750, 0.841], [0.066, 0.580, 0.636], [0.066, 0.920, 0.636], [0.083, 0.750, 0.275], [0.417, 0.250, 0.775], [0.434, 0.080, 0.136], [0.434, 0.420, 0.136], [0.566, 0.580, 0.864], [0.566, 0.920, 0.864], [0.583, 0.750, 0.225], [0.917, 0.250, 0.725], [0.934, 0.080, 0.364], [0.934, 0.420, 0.364], [0.053, 0.622, 0.968], [0.053, 0.878, 0.968], [0.447, 0.122, 0.468], [0.447, 0.378, 0.468], [0.553, 0.622, 0.532], [0.553, 0.878, 0.532], [0.947, 0.122, 0.032], [0.947, 0.378, 0.032]]}

10.
{"formula": "PrThN2", "functional": "r2SCAN", "state": "relaxed", "lattice": [[3.671, 0.000, 0.000], [0.000, 3.671, 0.000], [0.000, 0.000, 5.159]], "species": ["Pr", "Th", "N", "N"], "fractional_positions": [[0.000, 0.000, 0.000], [0.500, 0.500, 0.500], [0.000, 0.000, 0.500], [0.500, 0.500, 0.000]]}

| no. | energy of formation from the pure elements (eV per atom) |
| --- | --- |
| 1 | -0.700 |
| 2 | -1.107 |
| 3 | -1.656 |
| 4 | -0.258 |
| 5 | -2.073 |
| 6 | -2.191 |
| 7 | -1.479 |
| 8 | -1.591 |
| 9 | -1.763 |
| 10 | -1.696 |